Computed, not measured: a relaxed ThUS2 crystal at the r²SCAN level of DFT.

Structure (CIF):
```
data_ThUS2
_cell_length_a 4.012
_cell_length_b 4.012
_cell_length_c 5.677
_cell_angle_alpha 90.00
_cell_angle_beta 90.00
_cell_angle_gamma 90.00
_space_group_name_H-M_alt 'P 4/m m m'
_space_group_IT_number 123
_space_group_name_Hall '-P 4 2'
loop_
_atom_site_label
_atom_site_type_symbol
_atom_site_fract_x
_atom_site_fract_y
_atom_site_fract_z
_atom_site_occupancy
Th1 Th 0.000 0.000 0.000 1
U1 U 0.500 0.500 0.500 1
S1 S 0.000 0.000 0.500 1
S2 S 0.500 0.500 0.000 1
```

Calculated values
density = 9.71 Mg/m³
ΔE to the lowest computed polymorph = 0.003 eV/atom
E_tot = -44.244 eV per atom



Computed, not measured: a relaxed LaGe2Rh crystal at the r²SCAN level of DFT.

Structure (CIF):
```
data_LaGe2Rh
_cell_length_a 4.406
_cell_length_b 17.278
_cell_length_c 4.349
_cell_angle_alpha 90.00
_cell_angle_beta 90.00
_cell_angle_gamma 90.00
_space_group_name_H-M_alt 'C m c m'
_space_group_IT_number 63
_space_group_name_Hall '-C 2c 2'
loop_
_atom_site_label
_atom_site_type_symbol
_atom_site_fract_x
_atom_site_fract_y
_atom_site_fract_z
_atom_site_occupancy
La1 La 0.000 0.109 0.250 1
Ge1 Ge 0.000 0.250 0.750 1
Ge2 Ge 0.000 0.459 0.250 1
Rh1 Rh 0.000 0.319 0.250 1
```

Calculated values
density = 7.77 Mg/m³
E_tot = -21.349 eV per atom



Computed, not measured: a relaxed LuSnPt crystal at the r²SCAN level of DFT.

Structure (CIF):
```
data_LuSnPt
_cell_length_a 7.3963
_cell_length_b 7.3963
_cell_length_c 3.9407
_cell_angle_alpha 90.00
_cell_angle_beta 90.00
_cell_angle_gamma 120.00
_space_group_name_H-M_alt 'P -6 2 m'
_space_group_IT_number 189
_space_group_name_Hall 'P -6 -2'
loop_
_atom_site_label
_atom_site_type_symbol
_atom_site_fract_x
_atom_site_fract_y
_atom_site_fract_z
_atom_site_occupancy
Lu1 Lu 0.0000 0.5962 0.0000 1
Sn1 Sn 0.0000 0.2616 0.5000 1
Pt1 Pt 0.0000 0.0000 0.0000 1
Pt2 Pt 0.3333 0.6667 0.5000 1
```

Calculated values
density = 13.04 Mg/m³
E_tot = -39.282 eV per atom



Computed, not measured: a relaxed TbTaO4 crystal at the r²SCAN level of DFT.

Structure (CIF):
```
data_TbTaO4
_cell_length_a 7.012
_cell_length_b 10.997
_cell_length_c 5.070
_cell_angle_alpha 90.00
_cell_angle_beta 130.56
_cell_angle_gamma 90.00
_space_group_name_H-M_alt 'C 1 2/c 1'
_space_group_IT_number 15
loop_
_space_group_symop_operation_xyz
'x,y,z'
'-x,-y,-z'
'-x,y,-z+1/2'
'x,-y,z+1/2'
'x+1/2,y+1/2,z'
'-x+1/2,-y+1/2,-z'
'-x+1/2,y+1/2,-z+1/2'
'x+1/2,-y+1/2,z+1/2'
loop_
_atom_site_label
_atom_site_type_symbol
_atom_site_fract_x
_atom_site_fract_y
_atom_site_fract_z
_atom_site_occupancy
Tb1 Tb 0.000 0.132 0.250 1
Ta1 Ta 0.000 0.399 0.750 1
O1 O 0.157 0.290 0.661 1
O2 O 0.242 0.469 0.212 1
```

Calculated values
density = 9.03 Mg/m³
E_tot = -20.864 eV per atom



Computed, not measured: a relaxed V2CoO4 crystal at the r²SCAN level of DFT.

Structure (CIF):
```
data_V2CoO4
_cell_length_a 10.328
_cell_length_b 5.941
_cell_length_c 5.891
_cell_angle_alpha 90.00
_cell_angle_beta 124.56
_cell_angle_gamma 90.00
_space_group_name_H-M_alt 'C 1 2/m 1'
_space_group_IT_number 12
loop_
_space_group_symop_operation_xyz
'x,y,z'
'-x,-y,-z'
'-x,y,-z'
'x,-y,z'
'x+1/2,y+1/2,z'
'-x+1/2,-y+1/2,-z'
'-x+1/2,y+1/2,-z'
'x+1/2,-y+1/2,z'
loop_
_atom_site_label
_atom_site_type_symbol
_atom_site_fract_x
_atom_site_fract_y
_atom_site_fract_z
_atom_site_occupancy
V1 V 0.000 0.000 0.000 1
V2 V 0.000 0.000 0.500 1
V3 V 0.250 0.250 0.000 1
Co1 Co 0.124 0.500 0.375 1
O1 O 0.012 0.233 0.765 1
O2 O 0.235 0.000 0.748 1
O3 O 0.243 0.000 0.221 1
```

Calculated values
density = 5.02 Mg/m³
ΔE to the lowest computed polymorph = 0.003 eV/atom
E_tot = -11.557 eV per atom



Computed, not measured: a relaxed CeGa6Ni crystal at the r²SCAN level of DFT.

Structure (CIF):
```
data_CeGa6Ni
_cell_length_a 4.228
_cell_length_b 4.228
_cell_length_c 7.792
_cell_angle_alpha 90.00
_cell_angle_beta 90.00
_cell_angle_gamma 90.00
_space_group_name_H-M_alt 'P 4/m m m'
_space_group_IT_number 123
_space_group_name_Hall '-P 4 2'
loop_
_atom_site_label
_atom_site_type_symbol
_atom_site_fract_x
_atom_site_fract_y
_atom_site_fract_z
_atom_site_occupancy
Ce1 Ce 0.000 0.000 0.000 1
Ga1 Ga 0.000 0.500 0.335 1
Ga2 Ga 0.500 0.500 0.151 1
Ni1 Ni 0.000 0.000 0.500 1
```

Calculated values
density = 7.36 Mg/m³
E_tot = -14.406 eV per atom



Computed, not measured: a relaxed LiPt3O4 crystal at the r²SCAN level of DFT.

Structure (CIF):
```
data_LiPt3O4
_cell_length_a 5.683
_cell_length_b 5.683
_cell_length_c 5.683
_cell_angle_alpha 90.00
_cell_angle_beta 90.00
_cell_angle_gamma 90.00
_space_group_name_H-M_alt 'P m -3 n'
_space_group_IT_number 223
_space_group_name_Hall '-P 4n 2 3'
loop_
_atom_site_label
_atom_site_type_symbol
_atom_site_fract_x
_atom_site_fract_y
_atom_site_fract_z
_atom_site_occupancy
Li1 Li 0.000 0.000 0.000 1
Pt1 Pt 0.000 0.250 0.500 1
O1 O 0.250 0.250 0.250 1
```

Calculated values
density = 11.87 Mg/m³
E_tot = -23.497 eV per atom



Computed, not measured: a relaxed SrSmAlO4 crystal at the r²SCAN level of DFT.

Structure (CIF):
```
data_SrSmAlO4
_cell_length_a 3.718
_cell_length_b 3.718
_cell_length_c 12.280
_cell_angle_alpha 90.00
_cell_angle_beta 90.00
_cell_angle_gamma 90.00
_space_group_name_H-M_alt 'I 4 m m'
_space_group_IT_number 107
_space_group_name_Hall 'I 4 -2'
loop_
_atom_site_label
_atom_site_type_symbol
_atom_site_fract_x
_atom_site_fract_y
_atom_site_fract_z
_atom_site_occupancy
Sr1 Sr 0.000 0.000 0.000 1
Sm1 Sm 0.000 0.000 0.716 1
Al1 Al 0.000 0.000 0.359 1
O1 O 0.000 0.000 0.195 1
O2 O 0.000 0.000 0.523 1
O3 O 0.000 0.500 0.349 1
```

Calculated values
density = 6.44 Mg/m³
E_tot = -14.252 eV per atom